Entry 1:
DFT (GGA+U) results for a geometry-optimized Mn15NiO32 structure.

```
Mn15NiO32
1.0
5.811 -5.836 0.000
5.811 5.836 0.000
-0.049 0.000 8.236
O Mn Ni
32 15 1
Direct
0.769 0.986 0.986
0.515 0.235 0.515
0.515 0.515 0.235
0.264 0.764 0.264
0.235 0.235 0.235
0.014 0.515 0.736
0.736 0.736 0.236
0.264 0.986 0.485
0.736 0.515 0.014
0.264 0.264 0.764
0.236 0.736 0.736
0.014 0.231 0.014
0.986 0.264 0.485
0.986 0.485 0.264
0.515 0.736 0.014
0.765 0.485 0.485
0.764 0.264 0.264
0.014 0.014 0.231
0.485 0.986 0.264
0.986 0.769 0.986
0.986 0.986 0.769
0.485 0.264 0.986
0.485 0.485 0.765
0.235 0.515 0.515
0.485 0.765 0.485
0.014 0.736 0.515
0.736 0.236 0.736
0.515 0.014 0.736
0.231 0.014 0.014
0.264 0.485 0.986
0.736 0.014 0.515
0.765 0.765 0.765
0.751 0.500 0.249
0.500 0.751 0.249
0.751 0.001 0.751
0.751 0.751 0.001
0.249 0.999 0.249
0.500 0.249 0.751
0.249 0.500 0.751
0.001 0.751 0.751
0.751 0.249 0.500
0.500 0.000 0.500
0.500 0.500 0.000
0.249 0.751 0.500
0.249 0.249 0.999
0.000 0.500 0.500
0.999 0.249 0.249
0.000 0.000 0.000
```

Computed properties:
The symmetry is R-3m, No. 166. As for the formation energy: -1.702 eV per atom. Its magnetic moment is 45.00 Bohr magnetons per cell. The value obtained for the total energy is -6.9519 eV per atom.

---

Entry 2:
DFT (GGA+U) results for a geometry-optimized WN2OF5 structure.

```
WN2OF5
1.0
-5.915 -0.534 -2.078
-1.900 6.373 3.773
4.754 4.469 -5.154
N O F W
4 2 10 2
Direct
0.279 0.250 0.558
0.950 0.250 0.899
0.721 0.750 0.442
0.050 0.750 0.101
0.498 0.250 0.996
0.502 0.750 0.004
0.409 0.424 0.245
0.836 0.076 0.245
0.836 0.424 0.245
0.164 0.924 0.755
0.409 0.076 0.245
0.744 0.250 0.489
0.256 0.750 0.511
0.164 0.576 0.755
0.591 0.576 0.755
0.591 0.924 0.755
0.620 0.250 0.239
0.380 0.750 0.761
```

Computed properties:
The symmetry is Cmcm, No. 63. As for the formation energy: -0.669 eV per atom. Its magnetic moment is 10.00 Bohr magnetons per cell. The value obtained for the total energy is -4.7487 eV per atom.

---

Entry 3:
DFT (GGA+U) results for a geometry-optimized SrCo2BPO7 structure.

```
SrCo2BPO7
1.0
9.086 0.000 0.000
0.000 6.530 0.000
0.000 3.663 9.478
O Co P B Sr
28 8 4 4 4
Direct
0.324 0.016 0.175
0.528 0.469 0.353
0.336 0.504 0.191
0.913 0.876 0.648
0.023 0.010 0.149
0.664 0.496 0.809
0.045 0.729 0.409
0.676 0.984 0.825
0.773 0.577 0.065
0.545 0.271 0.091
0.523 0.990 0.351
0.727 0.577 0.565
0.227 0.423 0.935
0.836 0.496 0.309
0.455 0.729 0.909
0.977 0.990 0.851
0.472 0.531 0.647
0.587 0.876 0.148
0.164 0.504 0.691
0.413 0.124 0.852
0.273 0.423 0.435
0.028 0.531 0.147
0.176 0.016 0.675
0.972 0.469 0.853
0.477 0.010 0.649
0.955 0.271 0.591
0.824 0.984 0.325
0.087 0.124 0.352
0.946 0.570 0.621
0.322 0.292 0.645
0.446 0.430 0.879
0.054 0.430 0.379
0.678 0.708 0.355
0.178 0.292 0.145
0.554 0.570 0.121
0.822 0.708 0.855
0.991 0.959 0.309
0.509 0.959 0.809
0.009 0.041 0.691
0.491 0.041 0.191
0.377 0.464 0.330
0.877 0.536 0.170
0.623 0.536 0.670
0.123 0.464 0.830
0.797 0.165 0.986
0.703 0.165 0.486
0.203 0.835 0.014
0.297 0.835 0.514
```

Computed properties:
The symmetry is P2_1/c, No. 14. As for the formation energy: -2.345 eV per atom. Its magnetic moment is 0.00 Bohr magnetons per cell. The value obtained for the total energy is -6.8911 eV per atom.

---

Entry 4:
DFT (GGA+U) results for a geometry-optimized Li3VO3F structure.

```
Li3VO3F
1.0
-1.785 0.061 4.848
8.452 0.229 4.783
0.097 5.847 0.110
Li V F O
12 4 4 12
Direct
0.368 0.629 0.376
0.883 0.621 0.127
0.125 0.366 0.369
0.117 0.379 0.873
0.617 0.879 0.873
0.868 0.129 0.376
0.375 0.134 0.631
0.625 0.866 0.369
0.383 0.121 0.127
0.132 0.871 0.624
0.632 0.371 0.624
0.875 0.634 0.631
0.389 0.635 0.881
0.889 0.135 0.881
0.111 0.865 0.119
0.611 0.365 0.119
0.245 0.506 0.628
0.745 0.006 0.628
0.255 0.994 0.372
0.755 0.494 0.372
0.026 0.748 0.886
0.273 0.500 0.102
0.526 0.248 0.886
0.773 0.000 0.102
0.003 0.765 0.360
0.227 0.000 0.898
0.474 0.752 0.114
0.503 0.265 0.360
0.997 0.235 0.640
0.974 0.253 0.114
0.497 0.735 0.640
0.727 0.500 0.898
```

Computed properties:
The calculation puts the energy above the most stable polymorph in this dataset at 0.0 meV per atom. As for the formation energy: -2.615 eV per atom. Its magnetic moment is 0.00 Bohr magnetons per cell. The value obtained for the total energy is -6.0332 eV per atom.

---

Entry 5:
DFT (GGA+U) results for a geometry-optimized LiFe5O3F5 structure.

```
LiFe5O3F5
1.0
-4.226 0.708 4.562
-0.134 -4.000 4.812
1.849 1.915 5.797
F Fe Li O
5 5 1 3
Direct
0.374 0.870 0.889
0.875 0.384 0.360
0.863 0.863 0.871
0.870 0.374 0.889
0.384 0.875 0.360
0.965 0.965 0.065
0.610 0.138 0.611
0.138 0.610 0.611
0.293 0.293 0.201
0.622 0.622 0.625
0.618 0.618 0.127
0.393 0.393 0.376
0.847 0.847 0.439
0.398 0.398 0.826
```

Computed properties:
The symmetry is Cm, No. 8. As for the formation energy: -2.122 eV per atom. Its magnetic moment is 20.00 Bohr magnetons per cell. The value obtained for the total energy is -5.9093 eV per atom.

---

Entry 6:
DFT (GGA+U) results for a geometry-optimized Li3Co2O5 structure.

```
Li3Co2O5
1.0
1.495 7.682 0.000
-1.495 7.682 0.000
0.000 1.915 7.713
Li O Co
6 10 4
Direct
0.597 0.597 0.709
0.000 0.000 0.500
0.000 0.000 0.000
0.198 0.198 0.904
0.403 0.403 0.291
0.802 0.802 0.096
0.195 0.195 0.163
0.992 0.992 0.753
0.805 0.805 0.837
0.604 0.604 0.430
0.601 0.601 0.973
0.798 0.798 0.361
0.396 0.396 0.570
0.202 0.202 0.639
0.399 0.399 0.027
0.008 0.008 0.247
0.200 0.200 0.399
0.595 0.595 0.195
0.800 0.800 0.601
0.405 0.405 0.805
```

Computed properties:
The symmetry is C2/m, No. 12. The calculation puts the energy above the most stable polymorph in this dataset at 68.1 meV per atom. As for the formation energy: -1.674 eV per atom. Its magnetic moment is 2.00 Bohr magnetons per cell. The value obtained for the total energy is -5.4709 eV per atom.